Crystalline DyAl10Re2 at its relaxed geometry. Source: the Materials Project, functional r2SCAN.

Values from the calculation:
Volume (Å³/atom): 16.4
VASP energy (eV/atom): -16.1091
E_form (kJ per mole of atoms): -39.29

```
DyAl10Re2
1.0
4.601 -5.146 0.000
4.601 5.146 0.000
0.000 0.000 17.964
Al Re Dy
40 8 4
direct
0.348 0.092 0.630
0.965 0.035 0.826
0.965 0.035 0.674
0.350 0.350 0.500
0.751 0.249 0.592
0.249 0.751 0.092
0.092 0.348 0.130
0.092 0.348 0.370
0.350 0.350 0.000
0.000 0.500 0.000
0.268 0.292 0.750
0.389 0.911 0.250
0.035 0.965 0.174
0.611 0.089 0.750
0.292 0.268 0.250
0.911 0.389 0.750
0.650 0.650 0.500
0.908 0.652 0.870
0.500 0.000 0.000
0.035 0.965 0.326
0.348 0.092 0.870
0.652 0.908 0.130
0.505 0.495 0.857
0.717 0.283 0.426
0.500 0.000 0.500
0.283 0.717 0.574
0.000 0.500 0.500
0.283 0.717 0.926
0.495 0.505 0.357
0.751 0.249 0.908
0.505 0.495 0.643
0.652 0.908 0.370
0.717 0.283 0.074
0.908 0.652 0.630
0.708 0.732 0.750
0.650 0.650 0.000
0.495 0.505 0.143
0.732 0.708 0.250
0.249 0.751 0.408
0.089 0.611 0.250
0.130 0.374 0.879
0.626 0.870 0.879
0.870 0.626 0.379
0.374 0.130 0.121
0.626 0.870 0.621
0.870 0.626 0.121
0.130 0.374 0.621
0.374 0.130 0.379
0.000 0.000 0.500
0.000 0.000 0.000
0.257 0.743 0.750
0.743 0.257 0.250
```

Crystalline Hf6Si7Ni16 at its relaxed geometry. Source: the Materials Project, functional r2SCAN.

Values from the calculation:
Volume (Å³/atom): 12.5
VASP energy (eV/atom): -18.8699
E_form (kJ per mole of atoms): -77.17

```
Hf6Si7Ni16
1.0
7.412 1.272 2.720
1.641 6.609 4.193
1.527 -0.511 7.833
Ni Si Hf
16 7 6
direct
0.145 0.618 0.618
0.618 0.618 0.145
0.382 0.855 0.382
0.168 0.168 0.495
0.618 0.618 0.618
0.382 0.382 0.382
0.495 0.168 0.168
0.168 0.495 0.168
0.855 0.382 0.382
0.618 0.145 0.618
0.168 0.168 0.168
0.382 0.382 0.855
0.832 0.505 0.832
0.832 0.832 0.505
0.505 0.832 0.832
0.832 0.832 0.832
0.500 0.000 0.500
0.500 0.500 0.000
0.500 0.500 0.500
0.500 0.000 0.000
0.000 0.500 0.000
0.000 0.500 0.500
0.000 0.000 0.500
0.206 0.794 0.206
0.206 0.206 0.794
0.794 0.206 0.206
0.794 0.794 0.206
0.206 0.794 0.794
0.794 0.206 0.794
```